No. 1
Below is a geometry-optimized Fe3P4O16 structure, with properties calculated at the GGA+U level.

a b c (Å): 7.8394 8.9412 13.4354
angles (deg): 85.70 88.95 88.88
Closest atoms and distances in Å follow each position.
Positions (direct):
1 Fe 0.0000 0.0000 0.0000  5 O 1.97-2.06
2 Fe 0.0089 0.6545 0.3247  5 O 1.95-2.13
3 Fe 0.0346 0.3226 0.6595  4 O 1.90-2.04
4 Fe 0.1383 0.0724 0.3296  3 O 1.85-1.96
5 Fe 0.4728 0.4852 0.9909  5 O 1.94-2.08
6 Fe 0.4991 0.8342 0.6675  5 O 1.96-2.09
7 Fe 0.5365 0.1681 0.3375  5 O 1.94-2.07
8 Fe 0.6396 0.4114 0.6670  3 O 1.84-1.96
9 Fe 0.8717 0.5800 0.9984  3 O 1.84-1.96
10 P 0.1971 0.0183 0.7760  4 O 1.53-1.58
11 P 0.2004 0.6912 0.1098  4 O 1.54
12 P 0.2086 0.3545 0.4394  4 O 1.54-1.55
13 P 0.3018 0.5263 0.7752  4 O 1.54-1.55
14 P 0.3051 0.1840 0.1101  4 O 1.53-1.57
15 P 0.3190 0.8529 0.4403  4 O 1.54-1.57
16 P 0.6920 0.8003 0.8880  4 O 1.54-1.57
17 P 0.7056 0.4703 0.2183  4 O 1.53-1.57
18 P 0.7108 0.1308 0.5546  4 O 1.54-1.56
19 P 0.7986 0.3005 0.8868  4 O 1.53-1.59
20 P 0.8095 0.9623 0.2173  4 O 1.54
21 P 0.8195 0.6350 0.5559  4 O 1.53-1.58
22 O 0.0663 0.9020 0.7409  1 P 1.58
23 O 0.0716 0.5846 0.0683  1 P 1.54
24 O 0.0841 0.2417 0.3988  1 P 1.55
25 O 0.1275 0.4949 0.7306  1 P 1.54
26 O 0.1327 0.1613 0.0613  1 P 1.54
27 O 0.1391 0.1813 0.7526  1 P 1.53
28 O 0.1393 0.8488 0.3908  1 P 1.57
29 O 0.1447 0.5157 0.4118  1 P 1.54
30 O 0.1494 0.8557 0.0797  1 P 1.54
31 O 0.1820 0.9753 0.8893  1 P 1.55
32 O 0.1970 0.6655 0.2248  1 P 1.54
33 O 0.2091 0.3299 0.5549  1 P 1.55
34 O 0.2969 0.5015 0.8908  1 P 1.55
35 O 0.3001 0.1500 0.2262  1 P 1.57
36 O 0.3224 0.8222 0.5545  1 P 1.54
37 O 0.3614 0.6869 0.7470  1 P 1.54
38 O 0.3660 0.0188 0.4067  1 P 1.57
39 O 0.3696 0.3435 0.0899  1 P 1.53
40 O 0.3749 0.9960 0.7296  1 P 1.53
41 O 0.3790 0.6550 0.0670  1 P 1.54
42 O 0.3901 0.3280 0.3963  1 P 1.55
43 O 0.4275 0.0685 0.0630  1 P 1.56
44 O 0.4343 0.4136 0.7359  1 P 1.55
45 O 0.4463 0.7300 0.4118  1 P 1.54
46 O 0.5650 0.9228 0.9178  1 P 1.54
47 O 0.5817 0.5829 0.2665  1 P 1.55
48 O 0.5842 0.2481 0.5951  1 P 1.55
49 O 0.6185 0.3275 0.9306  1 P 1.54
50 O 0.6309 0.0009 0.2596  1 P 1.54
51 O 0.6393 0.6425 0.6092  1 P 1.58
52 O 0.6400 0.3110 0.2391  1 P 1.53
53 O 0.6444 0.6342 0.9206  1 P 1.57
54 O 0.6466 0.9711 0.5834  1 P 1.54
55 O 0.6911 0.8310 0.7739  1 P 1.54
56 O 0.7098 0.5040 0.1018  1 P 1.57
57 O 0.7108 0.1523 0.4385  1 P 1.56
58 O 0.8000 0.3317 0.7689  1 P 1.59
59 O 0.8135 0.9880 0.1024  1 P 1.54
60 O 0.8244 0.6705 0.4422  1 P 1.54
61 O 0.8584 0.7977 0.2487  1 P 1.54
62 O 0.8634 0.1397 0.9120  1 P 1.53
63 O 0.8643 0.4660 0.5866  1 P 1.57
64 O 0.8710 0.8040 0.9383  1 P 1.57
65 O 0.8799 0.4917 0.2649  1 P 1.54
66 O 0.8905 0.1550 0.5953  1 P 1.55
67 O 0.9246 0.4132 0.9257  1 P 1.55
68 O 0.9393 0.0683 0.2585  1 P 1.54
69 O 0.9471 0.7498 0.5872  1 P 1.53

## Properties
- energy relative to the lowest polymorph listed for this composition (eV/atom) = 0.037
- total magnetic moment (μB/f.u.) = 1.2

=====

No. 2
Below is a geometry-optimized FePO4 structure, with properties calculated at the GGA+U level.

a b c (Å): 9.2950 9.2950 15.7221
angles (deg): 117.56 117.56 31.27
Closest atoms and distances in Å follow each position.
Positions (direct):
1 Fe 0.0000 0.5000 0.0000  4 O 1.86-2.01
2 Fe 0.0913 0.7018 0.5230  4 O 1.89-2.02
3 Fe 0.1732 0.8268 0.7500  6 O 2.01-2.12
4 Fe 0.2982 0.9087 0.9770  4 O 1.89-2.02
5 Fe 0.5000 0.0000 0.5000  4 O 1.86-2.01
6 Fe 0.7018 0.0913 0.0230  4 O 1.89-2.02
7 Fe 0.8268 0.1732 0.2500  6 O 2.01-2.12
8 Fe 0.9087 0.2982 0.4770  4 O 1.89-2.02
9 P 0.0138 0.5599 0.6443  3 O 1.46-1.63
10 P 0.2767 0.6887 0.3788  4 O 1.51-1.58
11 P 0.3113 0.7233 0.1212  4 O 1.51-1.58
12 P 0.4401 0.9862 0.8557  3 O 1.46-1.63
13 P 0.5599 0.0138 0.1443  3 O 1.46-1.63
14 P 0.6887 0.2767 0.8788  4 O 1.51-1.58
15 P 0.7233 0.3113 0.6212  4 O 1.51-1.58
16 P 0.9862 0.4401 0.3557  3 O 1.46-1.63
17 O 0.0682 0.8225 0.2871  1 P 1.53
18 O 0.0950 0.5019 0.7398  1 P 1.46
19 O 0.1085 0.7420 0.0507  1 P 1.58
20 O 0.1221 0.6272 0.6367  1 P 1.64
21 O 0.1488 0.3005 0.5565  1 P 1.63
22 O 0.1775 0.9318 0.2129  1 P 1.53
23 O 0.2070 0.3010 0.9029  1 P 1.56
24 O 0.2168 0.6405 0.4287  1 P 1.51
25 O 0.2580 0.8915 0.4493  1 P 1.58
26 O 0.3005 0.1488 0.0565  1 P 1.63
27 O 0.3010 0.2070 0.4029  1 P 1.56
28 O 0.3595 0.7832 0.0713  1 P 1.51
29 O 0.3728 0.8779 0.8633  1 P 1.64
30 O 0.3995 0.5921 0.8607  1 P 1.58
31 O 0.4079 0.6005 0.6393  1 P 1.58
32 O 0.4981 0.9050 0.7602  1 P 1.46
33 O 0.5019 0.0950 0.2398  1 P 1.46
34 O 0.5921 0.3995 0.3607  1 P 1.58
35 O 0.6005 0.4079 0.1393  1 P 1.58
36 O 0.6272 0.1221 0.1367  1 P 1.64
37 O 0.6405 0.2168 0.9287  1 P 1.51
38 O 0.6990 0.7930 0.5971  1 P 1.56
39 O 0.6995 0.8512 0.9435  1 P 1.63
40 O 0.7420 0.1085 0.5507  1 P 1.58
41 O 0.7832 0.3595 0.5713  1 P 1.51
42 O 0.7930 0.6990 0.0971  1 P 1.56
43 O 0.8225 0.0682 0.7871  1 P 1.53
44 O 0.8512 0.6995 0.4435  1 P 1.63
45 O 0.8779 0.3728 0.3633  1 P 1.64
46 O 0.8915 0.2580 0.9493  1 P 1.58
47 O 0.9050 0.4981 0.2602  1 P 1.46
48 O 0.9318 0.1775 0.7129  1 P 1.53

## Properties
- total magnetic moment (μB/f.u.) = 5.0

=====

No. 3
Below is a geometry-optimized FePO4 structure, with properties calculated at the GGA+U level.

a b c (Å): 8.7508 6.5932 4.7811
angles (deg): 90.00 90.00 90.00
Closest atoms and distances in Å follow each position.
Positions (direct):
1 Fe 0.0000 0.0000 0.0000  4 O 1.92-2.09
2 Fe 0.0000 0.5000 0.0000  4 O 1.92-2.09
3 Fe 0.5000 0.0000 0.5000  4 O 1.92-2.09
4 Fe 0.5000 0.5000 0.5000  4 O 1.92-2.09
5 P 0.1758 0.2500 0.4716  4 O 1.53-1.58
6 P 0.3242 0.7500 0.9716  4 O 1.53-1.58
7 P 0.6758 0.2500 0.0284  4 O 1.53-1.58
8 P 0.8242 0.7500 0.5284  4 O 1.53-1.58
9 O 0.1197 0.0565 0.3262  1 P 1.53
10 O 0.1201 0.2500 0.7831  1 P 1.57
11 O 0.1197 0.4435 0.3262  1 P 1.53
12 O 0.1441 0.7500 0.9409  1 P 1.58
13 O 0.3559 0.2500 0.4409  1 P 1.58
14 O 0.3803 0.5565 0.8262  1 P 1.53
15 O 0.3799 0.7500 0.2831  1 P 1.57
16 O 0.3803 0.9435 0.8262  1 P 1.53
17 O 0.6197 0.0565 0.1738  1 P 1.53
18 O 0.6201 0.2500 0.7169  1 P 1.57
19 O 0.6197 0.4435 0.1738  1 P 1.53
20 O 0.6441 0.7500 0.5591  1 P 1.58
21 O 0.8559 0.2500 0.0591  1 P 1.58
22 O 0.8803 0.5565 0.6738  1 P 1.53
23 O 0.8799 0.7500 0.2169  1 P 1.57
24 O 0.8803 0.9435 0.6738  1 P 1.53

## Properties
- total magnetic moment (μB/f.u.) = 5.0

=====

No. 4
Below is a geometry-optimized Fe3P4O14 structure, with properties calculated at the GGA+U level.

a b c (Å): 5.6961 6.8586 7.6061
angles (deg): 78.00 76.30 72.24
Closest atoms and distances in Å follow each position.
Positions (direct):
1 Fe 0.0000 0.0000 0.0000  5 O 2.02-2.19
2 Fe 0.1878 0.5150 0.3178  5 O 1.94-2.12
3 Fe 0.4777 0.9697 0.6696  5 O 1.92-2.05
4 P 0.0356 0.7859 0.6515  4 O 1.51-1.60
5 P 0.4532 0.1916 0.0016  4 O 1.50-1.63
6 P 0.6121 0.7801 0.2722  4 O 1.52-1.59
7 P 0.8527 0.1877 0.3995  4 O 1.49-1.63
8 O 0.0260 0.9646 0.4782  2 P 1.60-1.63
9 O 0.1541 0.5877 0.5694  1 P 1.51
10 O 0.1911 0.8363 0.7719  1 P 1.56
11 O 0.3001 0.1355 0.8819  1 P 1.57
12 O 0.3054 0.3773 0.0981  1 P 1.52
13 O 0.4774 0.9967 0.1668  2 P 1.59-1.63
14 O 0.4914 0.6245 0.2378  1 P 1.53
15 O 0.5639 0.8051 0.4721  1 P 1.52
16 O 0.5810 0.2010 0.5055  1 P 1.55
17 O 0.7087 0.1939 0.8898  1 P 1.50
18 O 0.7704 0.8059 0.7667  1 P 1.54
19 O 0.8845 0.1833 0.1999  1 P 1.49
20 O 0.9024 0.7385 0.1936  1 P 1.58
21 O 0.9615 0.3468 0.4443  1 P 1.54

## Properties
- energy relative to the lowest polymorph listed for this composition (eV/atom) = 0.421
- total magnetic moment (μB/f.u.) = 0.0

=====

No. 5
Below is a geometry-optimized Fe2P2O7 structure, with properties calculated at the GGA+U level.

a b c (Å): 4.5766 5.2991 5.6240
angles (deg): 103.50 98.61 99.22
Closest atoms and distances in Å follow each position.
Positions (direct):
1 Fe 0.0190 0.1759 0.2982  5 O 2.03-2.20
2 Fe 0.9810 0.8241 0.7018  5 O 2.03-2.20
3 P 0.4088 0.7128 0.2115  4 O 1.53-1.59
4 P 0.5912 0.2872 0.7885  4 O 1.53-1.59
5 O 0.2227 0.8756 0.0794  1 P 1.54
6 O 0.2264 0.5603 0.3591  1 P 1.53
7 O 0.2882 0.1201 0.6309  1 P 1.54
8 O 0.5000 0.5000 0.0000  2 P 1.59
9 O 0.7118 0.8799 0.3691  1 P 1.54
10 O 0.7736 0.4397 0.6409  1 P 1.53
11 O 0.7773 0.1244 0.9206  1 P 1.54

=====

No. 6
Below is a geometry-optimized Fe2P2O9 structure, with properties calculated at the GGA+U level.

a b c (Å): 6.4312 7.8222 14.1066
angles (deg): 89.96 90.00 89.97
Closest atoms and distances in Å follow each position.
Positions (direct):
1 Fe 0.0000 0.0000 0.0000  6 O 1.92-2.03
2 Fe 0.0001 0.1888 0.4992  6 O 1.93-2.04
3 Fe 0.2495 0.3440 0.8785  6 O 1.96-2.08
4 Fe 0.2495 0.8438 0.3780  6 O 1.96-2.08
5 Fe 0.4990 0.4989 0.2569  6 O 1.93-2.04
6 Fe 0.4991 0.6877 0.7565  6 O 1.93-2.04
7 Fe 0.7496 0.3440 0.8785  6 O 1.96-2.09
8 Fe 0.7496 0.8438 0.3780  6 O 1.96-2.08
9 P 0.9996 0.9499 0.1892  4 O 1.54-1.57
10 P 0.4995 0.7375 0.5668  4 O 1.54-1.57
11 P 0.4999 0.1943 0.4381  4 O 1.53-1.57
12 P 0.4997 0.4492 0.0674  4 O 1.54-1.57
13 P 0.4999 0.9920 0.9378  4 O 1.53-1.57
14 P 0.9994 0.2384 0.6895  4 O 1.54-1.57
15 P 0.9993 0.4932 0.3177  4 O 1.53-1.57
16 P 0.9992 0.6958 0.8188  4 O 1.53-1.57
17 O 0.9999 0.0716 0.6284  1 P 1.56
18 O 0.9999 0.1172 0.1286  1 P 1.56
19 O 0.0000 0.2043 0.9241  3 Fe 1.92-2.05
20 O 0.9995 0.5118 0.8640  1 P 1.57
21 O 0.9995 0.6767 0.3633  1 P 1.57
22 O 0.9997 0.8215 0.1041  1 P 1.57
23 O 0.0003 0.9840 0.4232  3 Fe 1.93-2.05
24 O 0.1928 0.4774 0.2554  1 P 1.53
25 O 0.1930 0.7124 0.7567  1 P 1.53
26 O 0.1968 0.2553 0.7506  1 P 1.54
27 O 0.1973 0.9326 0.2502  1 P 1.54
28 O 0.3021 0.4322 0.0064  1 P 1.54
29 O 0.3018 0.7547 0.5058  1 P 1.54
30 O 0.3062 0.2105 0.5002  1 P 1.53
31 O 0.3061 0.9746 0.9999  1 P 1.53
32 O 0.4995 0.0107 0.3926  1 P 1.57
33 O 0.4991 0.4839 0.8332  3 Fe 1.93-2.05
34 O 0.4992 0.5704 0.6277  1 P 1.56
35 O 0.4992 0.6163 0.1281  1 P 1.56
36 O 0.4988 0.7033 0.3330  3 Fe 1.93-2.05
37 O 0.4994 0.8659 0.6520  1 P 1.57
38 O 0.4995 0.1764 0.8932  1 P 1.57
39 O 0.5000 0.3204 0.1525  1 P 1.57
40 O 0.4997 0.3325 0.3614  1 P 1.53
41 O 0.4997 0.8552 0.8607  1 P 1.53
42 O 0.6940 0.2096 0.4999  1 P 1.53
43 O 0.6938 0.9752 0.9997  1 P 1.53
44 O 0.6972 0.4326 0.0063  1 P 1.54
45 O 0.6969 0.7544 0.5057  1 P 1.54
46 O 0.8021 0.2548 0.7507  1 P 1.54
47 O 0.8021 0.9330 0.2502  1 P 1.54
48 O 0.8054 0.4782 0.2557  1 P 1.53
49 O 0.8053 0.7119 0.7568  1 P 1.53
50 O 0.9995 0.3545 0.3941  1 P 1.53
51 O 0.9991 0.3668 0.6042  1 P 1.57
52 O 0.9994 0.8336 0.8954  1 P 1.53

## Properties
- total magnetic moment (μB/f.u.) = 9.0

=====

No. 7
Below is a geometry-optimized FeP2O7 structure, with properties calculated at the GGA+U level.

a b c (Å): 5.2361 5.2361 4.6080
angles (deg): 98.20 98.20 100.52
Closest atoms and distances in Å follow each position.
Positions (direct):
1 Fe 0.0000 0.0000 0.0000  6 O 2.00-2.02
2 P 0.1569 0.4478 0.5885  4 O 1.53-1.61
3 P 0.5522 0.8431 0.4115  4 O 1.53-1.61
4 O 0.0483 0.6763 0.7343  1 P 1.53
5 O 0.2192 0.2607 0.8031  1 P 1.53
6 O 0.3237 0.9517 0.2657  1 P 1.53
7 O 0.4364 0.5636 0.5000  2 P 1.61
8 O 0.6919 0.0259 0.7024  1 P 1.53
9 O 0.7393 0.7808 0.1969  1 P 1.53
10 O 0.9741 0.3081 0.2976  1 P 1.53

## Properties
- energy relative to the lowest polymorph listed for this composition (eV/atom) = 0.030
- total magnetic moment (μB/f.u.) = 4.0
- largest piezoelectric modulus (C/m2) = 1.92

=====

No. 8
Below is a geometry-optimized FeP2O9 structure, with properties calculated at the GGA+U level.

a b c (Å): 9.2605 9.2605 17.1253
angles (deg): 90.00 90.00 120.00
Closest atoms and distances in Å follow each position.
Positions (direct):
1 Fe 0.0000 0.0000 0.0000  6 O 1.76-1.94
2 Fe 0.0000 0.0000 0.5000  6 O 1.76-1.94
3 Fe 0.3333 0.6667 0.0786  6 O 2.02-2.04
4 Fe 0.3333 0.6667 0.7969  6 O 2.00-2.03
5 Fe 0.6667 0.3333 0.2969  6 O 2.00-2.03
6 Fe 0.6667 0.3333 0.5786  6 O 2.02-2.04
7 P 0.0295 0.4668 0.6664  4 O 1.53-1.56
8 P 0.1098 0.3782 0.9409  4 O 1.53-1.55
9 P 0.2684 0.8902 0.9409  4 O 1.53-1.55
10 P 0.3782 0.1098 0.4409  4 O 1.53-1.55
11 P 0.4373 0.9705 0.6664  4 O 1.53-1.56
12 P 0.4668 0.0295 0.1664  4 O 1.53-1.56
13 P 0.5332 0.5627 0.6664  4 O 1.53-1.56
14 P 0.5627 0.5332 0.1664  4 O 1.53-1.56
15 P 0.6218 0.7316 0.9409  4 O 1.53-1.55
16 P 0.7316 0.6218 0.4409  4 O 1.53-1.55
17 P 0.8902 0.2684 0.4409  4 O 1.53-1.55
18 P 0.9705 0.4373 0.1664  4 O 1.53-1.56
19 O 0.0051 0.2935 0.1867  1 P 1.56
20 O 0.0294 0.8808 0.5715  1 Fe 1.76
21 O 0.0401 0.4498 0.4400  1 P 1.55
22 O 0.0483 0.1894 0.9346  1 P 1.55
23 O 0.1192 0.1487 0.5715  1 Fe 1.76
24 O 0.1297 0.5905 0.7312  1 P 1.53
25 O 0.1342 0.5009 0.5909  1 P 1.55
26 O 0.1347 0.5982 0.1514  1 P 1.53
27 O 0.1411 0.9517 0.9346  1 P 1.55
28 O 0.1487 0.1192 0.0715  1 Fe 1.76
29 O 0.1894 0.0483 0.4346  1 P 1.55
30 O 0.2024 0.4625 0.8650  1 P 1.54
31 O 0.2141 0.4560 0.0144  1 P 1.53
32 O 0.2419 0.7859 0.0144  1 P 1.53
33 O 0.2600 0.7976 0.8650  1 P 1.54
34 O 0.2883 0.9949 0.1867  1 P 1.56
35 O 0.2935 0.0051 0.6867  1 P 1.56
36 O 0.3667 0.8658 0.5909  1 P 1.55
37 O 0.4018 0.5365 0.1514  1 P 1.53
38 O 0.4095 0.5392 0.7312  1 P 1.53
39 O 0.4097 0.9599 0.4400  1 P 1.55
40 O 0.4498 0.0401 0.9400  1 P 1.55
41 O 0.4560 0.2141 0.5144  1 P 1.53
42 O 0.4608 0.8703 0.7312  1 P 1.53
43 O 0.4625 0.2024 0.3650  1 P 1.54
44 O 0.4635 0.8653 0.1514  1 P 1.53
45 O 0.4991 0.6333 0.5909  1 P 1.55
46 O 0.5009 0.1342 0.0909  1 P 1.55
47 O 0.5365 0.4018 0.6514  1 P 1.53
48 O 0.5375 0.7400 0.8650  1 P 1.54
49 O 0.5392 0.4095 0.2312  1 P 1.53
50 O 0.5440 0.7581 0.0144  1 P 1.53
51 O 0.5502 0.5903 0.4400  1 P 1.55
52 O 0.5903 0.5502 0.9400  1 P 1.55
53 O 0.5905 0.1297 0.2312  1 P 1.53
54 O 0.5982 0.1347 0.6514  1 P 1.53
55 O 0.6333 0.4991 0.0909  1 P 1.55
56 O 0.7065 0.7117 0.1867  1 P 1.56
57 O 0.7117 0.7065 0.6867  1 P 1.56
58 O 0.7400 0.5375 0.3650  1 P 1.54
59 O 0.7581 0.5440 0.5144  1 P 1.53
60 O 0.7859 0.2419 0.5144  1 P 1.53
61 O 0.7976 0.2600 0.3650  1 P 1.54
62 O 0.8106 0.8589 0.9346  1 P 1.55
63 O 0.8513 0.9706 0.5715  1 Fe 1.76
64 O 0.8589 0.8106 0.4346  1 P 1.55
65 O 0.8653 0.4635 0.6514  1 P 1.53
66 O 0.8658 0.3667 0.0909  1 P 1.55
67 O 0.8703 0.4608 0.2312  1 P 1.53
68 O 0.8808 0.0294 0.0715  1 Fe 1.76
69 O 0.9517 0.1411 0.4346  1 P 1.55
70 O 0.9599 0.4097 0.9400  1 P 1.55
71 O 0.9706 0.8513 0.0715  1 Fe 1.76
72 O 0.9949 0.2883 0.6867  1 P 1.56

## Properties
- total magnetic moment (μB/f.u.) = 4.7

=====

Number 1: calculated density 2.9 g/cm³, calculated total energy -6.805 eV/atom, ΔE_f -2.089 eV/atom. Number 2: calculated density 3.2 g/cm³, calculated total energy -6.929 eV/atom, ΔE_f -2.150 eV/atom. Number 3: calculated density 3.6 g/cm³, calculated total energy -7.083 eV/atom, ΔE_f -2.305 eV/atom. Number 4: calculated density 3.1 g/cm³, calculated total energy -6.747 eV/atom, ΔE_f -1.987 eV/atom. Number 5: calculated density 3.7 g/cm³, calculated total energy -7.198 eV/atom, ΔE_f -2.373 eV/atom. Number 6: calculated density 3.0 g/cm³, calculated total energy -6.746 eV/atom, ΔE_f -2.007 eV/atom. Number 7: calculated density 3.2 g/cm³, calculated total energy -6.919 eV/atom, ΔE_f -2.232 eV/atom. Number 8: calculated density 2.1 g/cm³, calculated total energy -6.044 eV/atom, ΔE_f -1.428 eV/atom.